! Dy5In4Pt2 | the Materials Project database | PBE-GGA | relaxed; values from VASP
&SYSTEM
  ibrav = 0, nat = 22, ntyp = 3
/
ATOMIC_SPECIES
Dy 162.50 Dy.upf
In 114.82 In.upf
Pt 195.08 Pt.upf
CELL_PARAMETERS angstrom
0.0000 0.0000 3.6221
8.1879 0.0000 0.0000
0.0000 18.3624 0.0000
ATOMIC_POSITIONS angstrom
Dy 0.9468 7.5976 0.0000
Dy 7.2411 10.7648 0.0000
Dy 3.1471 16.7788 0.0000
Dy 5.0408 1.5836 0.0000
Dy 2.0016 4.0445 0.0000
Dy 6.1863 14.3179 0.0000
Dy 2.0924 13.2258 0.0000
Dy 6.0956 5.1367 0.0000
Dy 0.0000 0.0000 0.0000
Dy 4.0940 9.1812 0.0000
In 3.4893 6.4509 1.8110
In 4.6987 11.9116 1.8110
In 0.6047 15.6321 1.8110
In 7.5832 2.7304 1.8110
In 2.3908 1.2379 1.8110
In 5.7971 17.1245 1.8110
In 1.7031 10.4192 1.8110
In 6.4848 7.9433 1.8110
Pt 0.2072 5.5635 1.8110
Pt 7.9808 12.7990 1.8110
Pt 3.8868 14.7447 1.8110
Pt 4.3012 3.6177 1.8110
! crystal system	orthorhombic
! final energy	-55.13	eV per formula unit
! formation energy from the elements	-18.75	kcal/mol of atoms



! DyIn4Pt4 | the Materials Project database | PBE-GGA | relaxed; values from VASP
&SYSTEM
  ibrav = 0, nat = 18, ntyp = 3
/
ATOMIC_SPECIES
Dy 162.50 Dy.upf
In 114.82 In.upf
Pt 195.08 Pt.upf
CELL_PARAMETERS angstrom
-3.7117 2.1310 1.7274
0.4495 -4.5723 0.4406
9.6979 2.6470 17.5734
ATOMIC_POSITIONS angstrom
Dy 1.4869 -1.6761 5.2629
Dy 4.9488 1.8818 14.4785
In 8.3575 0.1992 17.7129
In -1.9218 0.0065 2.0285
In 2.1214 1.1101 9.3551
In 4.3142 -0.9044 10.3862
In 3.4685 0.9467 6.2853
In 6.2294 1.7003 11.2881
In 8.3175 2.2702 15.0719
In 1.3804 0.3768 2.5014
Pt 2.9913 -1.2655 7.9890
Pt 3.4443 1.4712 11.7523
Pt 6.4532 2.2924 17.2046
Pt -0.0175 -2.0867 2.5367
Pt 7.0070 -0.1695 15.2657
Pt -0.5713 0.3751 4.4757
Pt 0.7709 0.7415 6.9079
Pt 5.6647 -0.5358 12.8334
! crystal system	hexagonal
! final energy	-46.16	eV per formula unit
! formation energy from the elements	-16.03	kcal/mol of atoms



> Number 1 is which compound?

Dy5In4Pt2